No. 1
MnVRu2 | meta-GGA r2SCAN | relaxed

Cell lengths 5.997, 5.997, 5.997 Å; angles 90.00, 90.00, 90.00 degrees
Space group Fm-3m (No. 225)
Asymmetric unit:
Mn: 0.000 0.000 0.000
V: 0.000 0.000 0.500
Ru: 0.250 0.250 0.250

Summary:
Calculated total energy: -1.48655 Ry/atom
ΔE_f: -320 meV per atom

No. 2
Al | meta-GGA r2SCAN | relaxed

Cell lengths 2.8271, 2.8271, 9.1860 Å; angles 90.00, 90.00, 120.00 degrees
Space group P6_3/mmc (No. 194)
Asymmetric unit:
Al: 0.0000 0.0000 0.0000
Al: 0.3333 0.6667 0.2500

Summary:
Calculated total energy: -0.49403 Ry/atom
ΔE_f: 10 meV per atom
E above lowest polymorph: 10 meV/atom

No. 3
SiC | meta-GGA r2SCAN | relaxed

Cell lengths 3.0766, 3.0766, 15.0981 Å; angles 90.00, 90.00, 120.00 degrees
Space group P6_3mc (No. 186)
Asymmetric unit:
Si: 0.0000 0.0000 0.0000
Si: 0.3333 0.6667 0.1668
Si: 0.3333 0.6667 0.8333
C: 0.0000 0.0000 0.3746
C: 0.3333 0.6667 0.0418
C: 0.3333 0.6667 0.7083

Summary:
Calculated total energy: -0.71047 Ry/atom
ΔE_f: -306 meV per atom
E above lowest polymorph: 0 meV/atom

No. 4
Cs3Sm7Se12 | meta-GGA r2SCAN | relaxed

Cell lengths 4.261, 13.058, 26.763 Å; angles 90.00, 90.00, 90.00 degrees
Space group Pmn2_1 (No. 31)
Asymmetric unit:
Cs: 0.000 0.033 0.000
Cs: 0.000 0.305 0.344
Cs: 0.000 0.460 0.734
Sm: 0.000 0.157 0.659
Sm: 0.000 0.254 0.870
Sm: 0.000 0.342 0.083
Sm: 0.000 0.531 0.455
Sm: 0.000 0.674 0.053
Sm: 0.000 0.830 0.688
Sm: 0.000 0.966 0.289
Se: 0.000 0.005 0.175
Se: 0.000 0.178 0.551
Se: 0.000 0.183 0.767
Se: 0.000 0.319 0.974
Se: 0.000 0.320 0.193
Se: 0.000 0.495 0.567
Se: 0.000 0.592 0.352
Se: 0.000 0.621 0.948
Se: 0.000 0.697 0.159
Se: 0.000 0.804 0.582
Se: 0.000 0.883 0.793
Se: 0.000 0.895 0.389

Summary:
Calculated total energy: -1.67563 Ry/atom
ΔE_f: -2107 meV per atom

No. 5
Ac2ZnIr | meta-GGA r2SCAN | relaxed

Cell lengths 7.564, 7.564, 7.564 Å; angles 90.00, 90.00, 90.00 degrees
Space group Fm-3m (No. 225)
Asymmetric unit:
Ac: 0.250 0.250 0.250
Zn: 0.000 0.000 0.000
Ir: 0.000 0.000 0.500

Summary:
Calculated total energy: -3.67863 Ry/atom
ΔE_f: -414 meV per atom

No. 6
PrAgAu2 | meta-GGA r2SCAN | relaxed

Cell lengths 7.060, 7.060, 7.060 Å; angles 90.00, 90.00, 90.00 degrees
Space group Fm-3m (No. 225)
Asymmetric unit:
Pr: 0.000 0.000 0.000
Ag: 0.000 0.000 0.500
Au: 0.250 0.250 0.250

Summary:
Calculated total energy: -2.83618 Ry/atom
ΔE_f: -606 meV per atom

No. 7
Re3Ni | meta-GGA r2SCAN | relaxed

Cell lengths 5.3881, 5.3881, 4.3525 Å; angles 90.00, 90.00, 120.00 degrees
Space group P6_3/mmc (No. 194)
Asymmetric unit:
Re: 0.1661 0.3322 0.2500
Ni: 0.3333 0.6667 0.7500

Summary:
Calculated total energy: -3.11725 Ry/atom
ΔE_f: -109 meV per atom

No. 8
Pr6Ni20P13 | meta-GGA r2SCAN | relaxed

Cell lengths 12.7462, 12.7462, 3.8491 Å; angles 90.00, 90.00, 120.00 degrees
Space group P-6 (No. 174)
Asymmetric unit:
Pr: 0.0513 0.8509 0.0000
Pr: 0.5180 0.1336 0.5000
Ni: 0.0000 0.0000 0.5000
Ni: 0.0246 0.5968 0.0000
Ni: 0.0952 0.3501 0.5000
Ni: 0.1415 0.5615 0.5000
Ni: 0.2587 0.7342 0.0000
Ni: 0.3075 0.0738 0.0000
Ni: 0.3577 0.2527 0.5000
Ni: 0.6667 0.3333 0.0000
P: 0.0640 0.4354 0.0000
P: 0.0966 0.7065 0.5000
P: 0.2017 0.0528 0.5000
P: 0.3333 0.6667 0.5000
P: 0.4642 0.2797 0.0000

Summary:
Calculated total energy: -1.06960 Ry/atom
ΔE_f: -884 meV per atom

> Which value of calculated total energy does entry 2 give?

-0.49403 Ry/atom

Repeat the eighth record exactly.
Pr6Ni20P13 | meta-GGA r2SCAN | relaxed

Cell lengths 12.7462, 12.7462, 3.8491 Å; angles 90.00, 90.00, 120.00 degrees
Space group P-6 (No. 174)
Asymmetric unit:
Pr: 0.0513 0.8509 0.0000
Pr: 0.5180 0.1336 0.5000
Ni: 0.0000 0.0000 0.5000
Ni: 0.0246 0.5968 0.0000
Ni: 0.0952 0.3501 0.5000
Ni: 0.1415 0.5615 0.5000
Ni: 0.2587 0.7342 0.0000
Ni: 0.3075 0.0738 0.0000
Ni: 0.3577 0.2527 0.5000
Ni: 0.6667 0.3333 0.0000
P: 0.0640 0.4354 0.0000
P: 0.0966 0.7065 0.5000
P: 0.2017 0.0528 0.5000
P: 0.3333 0.6667 0.5000
P: 0.4642 0.2797 0.0000

Summary:
Calculated total energy: -1.06960 Ry/atom
ΔE_f: -884 meV per atom

> Among the records above, which one has the lowest calculated total energy?

Ac2ZnIr